# 1
Material: Dy2Co7B3
Method: DFT, PBE-GGA
State: optimized geometry

Calculated values
Uncorrected energy, eV per atom: -6.988
Crystal system: hexagonal

```
Dy2Co7B3
1.0
5.0131 0.0000 0.0000
-2.5066 4.3415 0.0000
0.0000 0.0000 12.7994
Dy Co B
4 14 6
direct
0.0000 0.0000 0.0000 Dy
0.0000 0.0000 0.2395 Dy
0.0000 0.0000 0.5000 Dy
0.0000 0.0000 0.7605 Dy
0.0000 0.5000 0.1161 Co
0.0000 0.5000 0.3458 Co
0.0000 0.5000 0.6542 Co
0.0000 0.5000 0.8839 Co
0.3333 0.6667 0.5000 Co
0.5000 0.0000 0.1161 Co
0.5000 0.0000 0.3458 Co
0.5000 0.0000 0.6542 Co
0.5000 0.0000 0.8839 Co
0.5000 0.5000 0.1161 Co
0.5000 0.5000 0.3458 Co
0.5000 0.5000 0.6542 Co
0.5000 0.5000 0.8839 Co
0.6667 0.3333 0.5000 Co
0.3333 0.6667 0.0000 B
0.3333 0.6667 0.2320 B
0.3333 0.6667 0.7680 B
0.6667 0.3333 0.0000 B
0.6667 0.3333 0.2320 B
0.6667 0.3333 0.7680 B
```

---

# 2
Material: TiSiRu
Method: DFT, PBE-GGA
State: optimized geometry

Calculated values
Uncorrected energy, eV per atom: -8.412
Crystal system: orthorhombic

```
TiSiRu
1.0
-3.5429 5.6087 3.2495
3.5429 -5.6087 3.2495
3.5429 5.6087 -3.2495
Ti Si Ru
6 6 6
direct
0.0041 0.2500 0.2541 Ti
0.4232 0.3965 0.5267 Ti
0.4252 0.8706 0.0545 Ti
0.8161 0.3706 0.9455 Ti
0.8698 0.8965 0.4733 Ti
0.9959 0.7500 0.7459 Ti
0.0892 0.4285 0.6745 Si
0.0892 0.9147 0.1607 Si
0.3782 0.1593 0.7189 Si
0.4404 0.6593 0.2811 Si
0.7540 0.4147 0.3255 Si
0.7540 0.9285 0.8393 Si
0.1663 0.3279 0.9086 Ru
0.1663 0.7577 0.3384 Ru
0.4193 0.2577 0.0914 Ru
0.4193 0.8279 0.6616 Ru
0.6708 0.1708 0.5000 Ru
0.6708 0.6708 0.0000 Ru
```

---

# 3
Material: Si5C3
Method: DFT, PBE-GGA
State: optimized geometry

Calculated values
Uncorrected energy, eV per atom: -6.131
Crystal system: trigonal

```
Si5C3
1.0
4.2001 2.4249 2.7896
-4.2001 2.4249 2.7896
0.0000 -4.8499 2.7896
Si C
5 3
direct
0.0000 0.0000 0.0000 Si
0.1777 0.4589 0.9719 Si
0.3363 0.3363 0.3363 Si
0.4589 0.9719 0.1777 Si
0.9719 0.1777 0.4589 Si
0.2190 0.7794 0.9741 C
0.7794 0.9741 0.2190 C
0.9741 0.2190 0.7794 C
```

---

# 4
Material: Fe2NiC
Method: DFT, PBE-GGA
State: optimized geometry

Calculated values
Uncorrected energy, eV per atom: -7.906
Crystal system: orthorhombic

```
Fe2NiC
1.0
5.0759 0.0000 0.0000
0.0000 6.7601 0.0000
0.0000 0.0000 4.3982
Fe Ni C
8 4 4
direct
0.1788 0.0699 0.1715 Fe
0.1788 0.4301 0.1715 Fe
0.3212 0.5699 0.6715 Fe
0.3212 0.9301 0.6715 Fe
0.6788 0.0699 0.3285 Fe
0.6788 0.4301 0.3285 Fe
0.8212 0.5699 0.8285 Fe
0.8212 0.9301 0.8285 Fe
0.0402 0.2500 0.6608 Ni
0.4598 0.7500 0.1608 Ni
0.5402 0.2500 0.8392 Ni
0.9598 0.7500 0.3392 Ni
0.1185 0.7500 0.9381 C
0.3815 0.2500 0.4381 C
0.6185 0.7500 0.5619 C
0.8815 0.2500 0.0619 C
```

---

# 5
Material: ZrTi2Al
Method: DFT, PBE-GGA
State: optimized geometry

Calculated values
Uncorrected energy, eV per atom: -7.259
Crystal system: orthorhombic

```
ZrTi2Al
1.0
4.7950 0.0000 0.0000
0.0000 2.9678 5.1342
0.0000 -2.9678 5.1342
Zr Ti Al
2 4 2
direct
0.0000 0.2489 0.7511 Zr
0.0000 0.7511 0.2489 Zr
0.0000 0.2463 0.2463 Ti
0.5000 0.0710 0.5800 Ti
0.5000 0.5800 0.0710 Ti
0.5000 0.5894 0.5894 Ti
0.0000 0.7490 0.7490 Al
0.5000 0.0866 0.0866 Al
```

---

# 6
Material: Zn4Si2H2O9
Method: DFT, PBE-GGA
State: optimized geometry

Calculated values
Uncorrected energy, eV per atom: -5.821
Crystal system: monoclinic

```
Zn4Si2H2O9
1.0
4.8677 -5.5051 0.0000
4.8677 5.5051 0.0000
-2.7580 0.0000 4.4085
Zn Si H O
4 2 2 9
direct
0.1566 0.8434 0.0000 Zn
0.4206 0.7423 0.5887 Zn
0.7423 0.4206 0.5887 Zn
0.8434 0.1566 0.0000 Zn
0.6464 0.9328 0.2832 Si
0.9328 0.6464 0.2832 Si
0.2221 0.2221 0.1950 H
0.4605 0.4605 0.2082 H
0.1039 0.1039 0.0565 O
0.1557 0.7459 0.3131 O
0.4220 0.8235 0.9938 O
0.4753 0.4753 0.4098 O
0.6304 0.9508 0.5970 O
0.7459 0.1557 0.3131 O
0.7878 0.7878 0.1925 O
0.8235 0.4220 0.9938 O
0.9508 0.6304 0.5970 O
```

---

Number 1: DFT formation energy -38.9 kJ/mol of atoms. Number 2: DFT formation energy -84.9 kJ/mol of atoms. Number 3: DFT formation energy 69.5 kJ/mol of atoms. Number 4: DFT formation energy 7.9 kJ/mol of atoms. Number 5: DFT formation energy -22.9 kJ/mol of atoms. Number 6: DFT formation energy -215.3 kJ/mol of atoms.